Entry 1:
First-principles (PBE) data for Na14Sc8Si7S5O48 after structural relaxation, as listed in the Materials Project.

The energy relative to the elements is -2.846 eV/atom. Its space-group type is P1, No. 1. The calculation puts the calculated total energy at -1697.301 eV for the cell shown. For the total magnetic moment, the calculation gives 0.0 μB per cell.

Cell lengths 9.165, 15.892, 22.709 Å; angles 90.08, 90.07, 90.05 degrees
Atoms (fractional coordinates):
Na  0.000  0.000  0.000
Na  0.001  0.623  0.006
Na  0.004  0.655  0.348
Na  0.033  0.312  0.011
Na  0.041  0.650  0.676
Na  0.052  0.982  0.350
Na  0.169  0.813  0.759
Na  0.175  0.472  0.089
Na  0.183  0.137  0.429
Na  0.188  0.135  0.924
Na  0.190  0.811  0.261
Na  0.191  0.477  0.588
Na  0.309  0.986  0.846
Na  0.318  0.650  0.178
Na  0.327  0.311  0.515
Na  0.355  0.656  0.844
Na  0.358  0.001  0.504
Na  0.369  0.958  0.174
Na  0.375  0.293  0.835
Na  0.483  0.796  0.338
Na  0.492  0.455  0.672
Na  0.501  0.497  0.001
Na  0.504  0.156  0.347
Na  0.533  0.814  0.010
Na  0.550  0.482  0.350
Na  0.552  0.150  0.678
Na  0.669  0.980  0.087
Na  0.672  0.635  0.429
Na  0.675  0.305  0.756
Na  0.678  0.637  0.923
Na  0.689  0.978  0.595
Na  0.691  0.310  0.261
Na  0.807  0.481  0.847
Na  0.818  0.150  0.176
Na  0.826  0.813  0.514
Na  0.856  0.154  0.839
Na  0.858  0.498  0.503
Na  0.860  0.124  0.514
Na  0.868  0.455  0.174
Na  0.873  0.799  0.835
Na  0.983  0.297  0.338
Na  0.986  0.963  0.674
Sc  0.163  0.810  0.608
Sc  0.169  0.146  0.277
Sc  0.169  0.476  0.243
Sc  0.177  0.147  0.576
Sc  0.177  0.147  0.774
Sc  0.177  0.148  0.070
Sc  0.179  0.488  0.942
Sc  0.179  0.811  0.410
Sc  0.183  0.815  0.908
Sc  0.187  0.493  0.445
Sc  0.190  0.476  0.742
Sc  0.196  0.811  0.107
Sc  0.668  0.305  0.611
Sc  0.669  0.977  0.243
Sc  0.670  0.646  0.278
Sc  0.672  0.649  0.072
Sc  0.673  0.993  0.944
Sc  0.677  0.314  0.410
Sc  0.681  0.311  0.908
Sc  0.681  0.989  0.443
Sc  0.682  0.648  0.571
Sc  0.689  0.647  0.777
Sc  0.695  0.309  0.107
Sc  0.696  0.983  0.739
Si  0.031  0.664  0.509
Si  0.031  0.960  0.507
Si  0.032  0.627  0.840
Si  0.036  0.295  0.174
Si  0.322  0.296  0.675
Si  0.326  0.627  0.338
Si  0.327  0.664  0.008
Si  0.330  0.961  0.009
Si  0.381  0.978  0.342
Si  0.477  0.479  0.842
Si  0.529  0.127  0.839
Si  0.529  0.165  0.507
Si  0.531  0.460  0.509
Si  0.536  0.795  0.175
Si  0.824  0.794  0.675
Si  0.826  0.127  0.340
Si  0.827  0.164  0.009
Si  0.829  0.460  0.009
Si  0.883  0.479  0.342
Si  0.885  0.149  0.675
Si  0.977  0.978  0.844
S  0.032  0.998  0.175
S  0.034  0.333  0.843
S  0.325  0.333  0.342
S  0.327  0.996  0.675
S  0.388  0.312  0.009
S  0.388  0.647  0.676
S  0.471  0.147  0.176
S  0.472  0.812  0.508
S  0.532  0.498  0.175
S  0.535  0.833  0.842
S  0.825  0.833  0.342
S  0.827  0.499  0.675
S  0.889  0.811  0.009
S  0.972  0.312  0.508
S  0.972  0.647  0.175
O  0.006  0.137  0.335
O  0.007  0.801  0.672
O  0.008  0.157  0.014
O  0.008  0.464  0.004
O  0.054  0.568  0.899
O  0.059  0.723  0.450
O  0.061  0.051  0.122
O  0.061  0.387  0.791
O  0.064  0.235  0.513
O  0.064  0.902  0.565
O  0.065  0.235  0.233
O  0.067  0.570  0.178
O  0.067  0.722  0.171
O  0.069  0.386  0.501
O  0.078  0.063  0.838
O  0.083  0.894  0.847
O  0.093  0.568  0.506
O  0.098  0.372  0.897
O  0.098  0.913  0.169
O  0.101  0.037  0.228
O  0.101  0.248  0.116
O  0.101  0.249  0.837
O  0.102  0.708  0.567
O  0.103  0.391  0.178
O  0.104  0.055  0.512
O  0.104  0.581  0.782
O  0.107  0.916  0.449
O  0.109  0.720  0.847
O  0.249  0.720  0.345
O  0.250  0.706  0.066
O  0.251  0.052  0.017
O  0.251  0.918  0.951
O  0.253  0.392  0.679
O  0.256  0.569  0.005
O  0.256  0.583  0.279
O  0.258  0.369  0.395
O  0.258  0.912  0.669
O  0.259  0.036  0.728
O  0.259  0.250  0.616
O  0.262  0.247  0.334
O  0.276  0.895  0.345
O  0.284  0.065  0.334
O  0.291  0.570  0.679
O  0.292  0.237  0.014
O  0.292  0.388  0.004
O  0.294  0.722  0.671
O  0.296  0.236  0.733
O  0.297  0.902  0.068
O  0.298  0.386  0.290
O  0.300  0.049  0.622
O  0.300  0.724  0.951
O  0.304  0.563  0.394
O  0.350  0.156  0.512
O  0.351  0.140  0.836
O  0.352  0.459  0.503
O  0.353  0.802  0.172
O  0.371  0.493  0.180
O  0.372  0.823  0.846
O  0.373  0.462  0.785
O  0.374  0.494  0.901
O  0.376  0.133  0.124
O  0.377  0.825  0.560
O  0.384  0.155  0.230
O  0.385  0.800  0.453
O  0.475  0.301  0.954
O  0.476  0.655  0.730
O  0.483  0.325  0.060
O  0.483  0.633  0.624
O  0.484  0.962  0.283
O  0.486  0.992  0.399
O  0.487  0.324  0.346
O  0.487  0.990  0.681
O  0.502  0.306  0.672
O  0.506  0.638  0.335
O  0.507  0.655  0.014
O  0.509  0.959  0.004
O  0.553  0.065  0.896
O  0.558  0.223  0.448
O  0.561  0.886  0.790
O  0.562  0.551  0.122
O  0.565  0.735  0.232
O  0.566  0.222  0.171
O  0.566  0.401  0.567
O  0.567  0.736  0.513
O  0.567  0.887  0.503
O  0.568  0.070  0.179
O  0.575  0.566  0.835
O  0.583  0.395  0.847
O  0.598  0.413  0.169
O  0.598  0.746  0.835
O  0.600  0.537  0.228
O  0.600  0.748  0.116
O  0.600  0.868  0.896
O  0.602  0.070  0.504
O  0.602  0.083  0.781
O  0.602  0.891  0.178
O  0.608  0.207  0.564
O  0.608  0.418  0.450
O  0.609  0.220  0.847
O  0.609  0.553  0.516
O  0.749  0.419  0.951
O  0.750  0.220  0.345
O  0.755  0.888  0.679
O  0.756  0.081  0.281
O  0.758  0.207  0.068
O  0.759  0.869  0.395
O  0.760  0.416  0.669
O  0.760  0.538  0.728
O  0.760  0.556  0.016
O  0.760  0.745  0.616
O  0.762  0.747  0.334
O  0.766  0.067  0.007
O  0.776  0.395  0.345
O  0.779  0.231  0.671
O  0.780  0.063  0.678
O  0.784  0.565  0.334
O  0.791  0.885  0.003
O  0.796  0.403  0.067
O  0.797  0.733  0.733
O  0.798  0.733  0.015
O  0.798  0.887  0.290
O  0.799  0.553  0.623
O  0.801  0.225  0.952
O  0.805  0.066  0.397
O  0.850  0.658  0.513
O  0.851  0.963  0.502
O  0.852  0.637  0.837
O  0.853  0.303  0.172
O  0.871  0.993  0.181
O  0.872  0.990  0.901
O  0.873  0.325  0.847
O  0.875  0.959  0.785
O  0.878  0.326  0.559
O  0.880  0.634  0.122
O  0.881  0.655  0.228
O  0.883  0.299  0.453
O  0.977  0.797  0.955
O  0.983  0.824  0.061
O  0.984  0.462  0.283
O  0.985  0.156  0.734
O  0.987  0.130  0.617
O  0.987  0.824  0.346
O  0.988  0.493  0.399
O  0.988  0.494  0.681

---

Entry 2:
First-principles (PBE) data for Na2Sc2SiS2O12 after structural relaxation, as listed in the Materials Project.

The energy relative to the elements is -2.749 eV/atom. Its space-group type is Cc, No. 9. The calculation puts the calculated total energy at -794.271 eV for the cell shown. For the total magnetic moment, the calculation gives 0.0 μB per cell.

Cell lengths 8.986, 8.986, 22.970 Å; angles 90.06, 90.06, 60.19 degrees
Atoms (fractional coordinates):
Na  0.001  0.999  0.500
Na  0.010  0.356  0.755
Na  0.305  0.675  0.422
Na  0.324  0.326  0.834
Na  0.326  0.324  0.334
Na  0.335  0.962  0.584
Na  0.356  0.010  0.255
Na  0.650  0.674  0.668
Na  0.674  0.650  0.168
Na  0.675  0.305  0.922
Na  0.962  0.335  0.084
Na  0.999  0.001  0.000
Sc  0.009  0.016  0.352
Sc  0.016  0.009  0.852
Sc  0.021  0.984  0.648
Sc  0.332  0.333  0.982
Sc  0.333  0.332  0.482
Sc  0.338  0.343  0.185
Sc  0.343  0.338  0.685
Sc  0.655  0.671  0.518
Sc  0.666  0.676  0.815
Sc  0.671  0.655  0.018
Sc  0.676  0.666  0.315
Sc  0.984  0.021  0.148
Si  0.001  0.304  0.248
Si  0.304  0.001  0.748
Si  0.335  0.627  0.581
Si  0.376  0.966  0.415
Si  0.627  0.335  0.081
Si  0.966  0.376  0.915
S  0.001  0.710  0.751
S  0.040  0.338  0.584
S  0.044  0.629  0.083
S  0.292  0.710  0.251
S  0.338  0.040  0.084
S  0.375  0.669  0.917
S  0.629  0.044  0.583
S  0.669  0.375  0.417
S  0.669  0.961  0.917
S  0.710  0.001  0.251
S  0.710  0.292  0.751
S  0.961  0.669  0.417
O  0.021  0.183  0.589
O  0.022  0.793  0.803
O  0.029  0.799  0.090
O  0.037  0.173  0.303
O  0.120  0.359  0.638
O  0.120  0.518  0.135
O  0.137  0.516  0.421
O  0.148  0.547  0.031
O  0.154  0.305  0.533
O  0.155  0.535  0.745
O  0.157  0.352  0.923
O  0.166  0.823  0.586
O  0.173  0.037  0.803
O  0.182  0.308  0.243
O  0.183  0.021  0.089
O  0.188  0.970  0.411
O  0.190  0.787  0.304
O  0.200  0.818  0.910
O  0.207  0.819  0.199
O  0.212  0.977  0.689
O  0.305  0.154  0.033
O  0.308  0.182  0.743
O  0.313  0.540  0.521
O  0.314  0.537  0.245
O  0.352  0.157  0.423
O  0.358  0.508  0.638
O  0.359  0.120  0.138
O  0.365  0.509  0.922
O  0.452  0.698  0.969
O  0.463  0.699  0.255
O  0.465  0.843  0.473
O  0.484  0.644  0.865
O  0.488  0.872  0.356
O  0.491  0.830  0.756
O  0.493  0.871  0.076
O  0.504  0.656  0.579
O  0.508  0.358  0.138
O  0.509  0.365  0.422
O  0.516  0.137  0.921
O  0.518  0.120  0.635
O  0.535  0.155  0.245
O  0.537  0.314  0.745
O  0.540  0.313  0.021
O  0.547  0.148  0.531
O  0.642  0.881  0.864
O  0.644  0.484  0.365
O  0.647  0.870  0.577
O  0.656  0.504  0.079
O  0.685  0.849  0.254
O  0.688  0.859  0.970
O  0.698  0.452  0.469
O  0.699  0.463  0.755
O  0.787  0.190  0.804
O  0.793  0.022  0.303
O  0.799  0.029  0.590
O  0.814  0.976  0.198
O  0.818  0.200  0.410
O  0.819  0.207  0.699
O  0.823  0.166  0.086
O  0.823  0.980  0.911
O  0.830  0.491  0.256
O  0.843  0.465  0.973
O  0.849  0.685  0.754
O  0.859  0.688  0.470
O  0.870  0.647  0.077
O  0.871  0.493  0.576
O  0.872  0.488  0.856
O  0.881  0.642  0.364
O  0.970  0.188  0.911
O  0.976  0.814  0.698
O  0.977  0.212  0.189
O  0.980  0.823  0.411